VASP calculation (GGA+U) on a relaxed Fe4As3O21 crystal.

Cell and atoms, written as CIF:
```
data_Fe4As3O21
_chemical_formula_sum 'Fe8 As6 O42'
_cell_length_a 11.5755
_cell_length_b 12.0193
_cell_length_c 7.8666
_cell_angle_alpha 90.00
_cell_angle_beta 90.00
_cell_angle_gamma 90.00
_symmetry_space_group_name_H-M 'C m m 2'
_symmetry_Int_Tables_number 35
loop_
_symmetry_equiv_pos_as_xyz
'x,y,z'
'-x,-y,z'
'-x,y,z'
'x,-y,z'
'x+1/2,y+1/2,z'
'-x+1/2,-y+1/2,z'
'-x+1/2,y+1/2,z'
'x+1/2,-y+1/2,z'
loop_
_atom_site_label
_atom_site_type_symbol
_atom_site_fract_x
_atom_site_fract_y
_atom_site_fract_z
_atom_site_occupancy
Fe1 Fe 0.0000 0.1354 0.0000 1
Fe2 Fe 0.1902 0.0000 0.7055 1
As1 As 0.0000 0.0000 0.3653 1
As2 As 0.2500 0.2500 0.8552 1
O1 O 0.0000 0.1162 0.2400 1
O2 O 0.0000 0.1938 0.6424 1
O3 O 0.0000 0.2841 0.5682 1
O4 O 0.0000 0.5000 0.9699 1
O5 O 0.0914 0.0000 0.9001 1
O6 O 0.0950 0.5000 0.0540 1
O7 O 0.1217 0.0000 0.4887 1
O8 O 0.1287 0.2351 0.9765 1
O9 O 0.2291 0.3644 0.7261 1
```

Computed properties:
- Electronic total energy: -5.873 eV per atom
- Formation energy from the elements: -0.776 eV/atom
- Volume: 1094.5 Å³ per cell

=====

VASP calculation (GGA+U) on a relaxed LiFeF4 crystal.

Cell and atoms, written as CIF:
```
data_LiFeF4
_chemical_formula_sum 'Li8 Fe8 F32'
_cell_length_a 10.2159
_cell_length_b 10.2159
_cell_length_c 6.0040
_cell_angle_alpha 90.00
_cell_angle_beta 90.00
_cell_angle_gamma 90.00
_symmetry_space_group_name_H-M 'I -4 2 d'
_symmetry_Int_Tables_number 122
_symmetry_space_group_name_Hall 'I -4 2bw'
loop_
_atom_site_label
_atom_site_type_symbol
_atom_site_fract_x
_atom_site_fract_y
_atom_site_fract_z
_atom_site_occupancy
Li1 Li 0.0626 0.7500 0.1250 1
Fe1 Fe 0.0357 0.2500 0.6250 1
F1 F 0.0681 0.1736 0.9106 1
F2 F 0.1076 0.6592 0.7841 1
```

Computed properties:
- Electronic total energy: -5.083 eV per atom
- Formation energy from the elements: -2.760 eV/atom
- Volume: 626.6 Å³ per cell

=====

VASP calculation (GGA+U) on a relaxed MgFe4Cu2O8 crystal.

Cell and atoms, written as CIF:
```
data_MgFe4Cu2O8
_chemical_formula_sum 'Mg2 Fe8 Cu4 O16'
_cell_length_a 10.8057
_cell_length_b 5.8139
_cell_length_c 6.5927
_cell_angle_alpha 90.00
_cell_angle_beta 127.43
_cell_angle_gamma 90.00
_symmetry_space_group_name_H-M 'C 1 2/m 1'
_symmetry_Int_Tables_number 12
loop_
_symmetry_equiv_pos_as_xyz
'x,y,z'
'-x,-y,-z'
'-x,y,-z'
'x,-y,z'
'x+1/2,y+1/2,z'
'-x+1/2,-y+1/2,-z'
'-x+1/2,y+1/2,-z'
'x+1/2,-y+1/2,z'
loop_
_atom_site_label
_atom_site_type_symbol
_atom_site_fract_x
_atom_site_fract_y
_atom_site_fract_z
_atom_site_occupancy
Mg1 Mg 0.0000 0.0000 0.0000 1
Fe1 Fe 0.0000 0.5000 0.0000 1
Fe2 Fe 0.0000 0.5000 0.5000 1
Fe3 Fe 0.2322 0.0000 0.5060 1
Cu1 Cu 0.2500 0.2500 0.0000 1
O1 O 0.0757 0.2571 0.3171 1
O2 O 0.2327 0.5000 0.1680 1
O3 O 0.2432 0.0000 0.1995 1
```

Computed properties:
- Electronic total energy: -6.045 eV per atom
- Formation energy from the elements: -1.462 eV/atom
- Volume: 328.9 Å³ per cell

=====

VASP calculation (GGA+U) on a relaxed LiMnO2 crystal.

Cell and atoms, written as CIF:
```
data_LiMnO2
_chemical_formula_sum 'Li8 Mn8 O16'
_cell_length_a 8.2481
_cell_length_b 8.0191
_cell_length_c 6.1174
_cell_angle_alpha 90.00
_cell_angle_beta 128.23
_cell_angle_gamma 90.00
_symmetry_space_group_name_H-M 'C 1 2/c 1'
_symmetry_Int_Tables_number 15
loop_
_symmetry_equiv_pos_as_xyz
'x,y,z'
'-x,-y,-z'
'-x,y,-z+1/2'
'x,-y,z+1/2'
'x+1/2,y+1/2,z'
'-x+1/2,-y+1/2,-z'
'-x+1/2,y+1/2,-z+1/2'
'x+1/2,-y+1/2,z+1/2'
loop_
_atom_site_label
_atom_site_type_symbol
_atom_site_fract_x
_atom_site_fract_y
_atom_site_fract_z
_atom_site_occupancy
Li1 Li 0.0000 0.0530 0.2500 1
Li2 Li 0.2500 0.2500 0.5000 1
Mn1 Mn 0.0000 0.5000 0.0000 1
Mn2 Mn 0.2500 0.2500 0.0000 1
O1 O 0.0195 0.2532 0.0178 1
O2 O 0.2220 0.4907 0.9728 1
```

Computed properties:
- Electronic total energy: -6.579 eV per atom
- Formation energy from the elements: -2.098 eV/atom
- Volume: 317.9 Å³ per cell

=====

VASP calculation (GGA+U) on a relaxed Li9Mn2Co5O16 crystal.

Cell and atoms, written as CIF:
```
data_Li9Mn2Co5O16
_chemical_formula_sum 'Li9 Mn2 Co5 O16'
_cell_length_a 2.9634
_cell_length_b 10.1475
_cell_length_c 10.7084
_cell_angle_alpha 114.32
_cell_angle_beta 96.03
_cell_angle_gamma 91.31
_symmetry_space_group_name_H-M 'P 1'
_symmetry_Int_Tables_number 1
loop_
_symmetry_equiv_pos_as_xyz
'x,y,z'
loop_
_atom_site_label
_atom_site_type_symbol
_atom_site_fract_x
_atom_site_fract_y
_atom_site_fract_z
_atom_site_occupancy
Li1 Li 0.0000 0.0000 0.0000 1
Li2 Li 0.0037 0.5048 0.0030 1
Li3 Li 0.1366 0.4419 0.2593 1
Li4 Li 0.2387 0.3810 0.4959 1
Li5 Li 0.2502 0.8740 0.5000 1
Li6 Li 0.4919 0.2561 0.0019 1
Li7 Li 0.4992 0.7491 0.9981 1
Li8 Li 0.7423 0.6181 0.4925 1
Li9 Li 0.7570 0.1291 0.5082 1
Mn1 Mn 0.1166 0.9351 0.2483 1
Mn2 Mn 0.6209 0.1976 0.2516 1
Co1 Co 0.3717 0.3142 0.7508 1
Co2 Co 0.3737 0.8148 0.7517 1
Co3 Co 0.6302 0.6765 0.2497 1
Co4 Co 0.8723 0.5633 0.7493 1
Co5 Co 0.8756 0.0637 0.7510 1
O1 O 0.0406 0.7258 0.1368 1
O2 O 0.0829 0.2178 0.1419 1
O3 O 0.1552 0.1526 0.3563 1
O4 O 0.2141 0.6618 0.3656 1
O5 O 0.3068 0.6002 0.6356 1
O6 O 0.3129 0.1002 0.6337 1
O7 O 0.4342 0.0291 0.8669 1
O8 O 0.4370 0.5283 0.8645 1
O9 O 0.5298 0.9788 0.1369 1
O10 O 0.5622 0.4927 0.1352 1
O11 O 0.6874 0.3906 0.3687 1
O12 O 0.7055 0.8943 0.3610 1
O13 O 0.8118 0.3477 0.6365 1
O14 O 0.8131 0.8520 0.6371 1
O15 O 0.9351 0.7787 0.8663 1
O16 O 0.9401 0.2773 0.8682 1
```

Computed properties:
- Electronic total energy: -5.799 eV per atom
- Formation energy from the elements: -1.808 eV/atom
- Volume: 291.0 Å³ per cell

=====

VASP calculation (GGA+U) on a relaxed Co3P2O14 crystal.

Cell and atoms, written as CIF:
```
data_Co3P2O14
_chemical_formula_sum 'Co6 P4 O28'
_cell_length_a 6.2184
_cell_length_b 6.2184
_cell_length_c 12.8433
_cell_angle_alpha 90.00
_cell_angle_beta 90.00
_cell_angle_gamma 90.00
_symmetry_space_group_name_H-M 'I 4/m'
_symmetry_Int_Tables_number 87
_symmetry_space_group_name_Hall '-I 4'
loop_
_atom_site_label
_atom_site_type_symbol
_atom_site_fract_x
_atom_site_fract_y
_atom_site_fract_z
_atom_site_occupancy
Co1 Co 0.0000 0.0000 0.0000 1
Co2 Co 0.0000 0.0000 0.2879 1
P1 P 0.0000 0.5000 0.2500 1
O1 O 0.0000 0.0000 0.1582 1
O2 O 0.0114 0.3023 0.3231 1
O3 O 0.1534 0.7710 0.0000 1
```

Computed properties:
- Electronic total energy: -5.709 eV per atom
- Formation energy from the elements: -1.136 eV/atom
- Volume: 496.6 Å³ per cell